This record from the Materials Project database describes an optimized crystal structure of Na4Sn5O12. The functional is PBE-GGA.

Cell and atoms, written as POSCAR:
```
Na4Sn5O12
1.0
5.879 0.000 0.000
2.022 10.048 0.000
2.328 2.796 10.214
Na Sn O
8 10 24
Direct
0.138 0.413 0.400
0.274 0.904 0.024
0.307 0.780 0.553
0.349 0.575 0.110
0.651 0.425 0.890
0.693 0.220 0.447
0.726 0.096 0.976
0.862 0.587 0.600
0.116 0.594 0.852
0.186 0.101 0.682
0.189 0.255 0.935
0.266 0.098 0.268
0.407 0.419 0.645
0.593 0.581 0.355
0.734 0.902 0.732
0.811 0.745 0.065
0.814 0.899 0.318
0.884 0.406 0.148
0.050 0.263 0.298
0.063 0.429 0.778
0.092 0.938 0.373
0.107 0.101 0.868
0.139 0.733 0.949
0.222 0.422 0.012
0.276 0.567 0.485
0.317 0.266 0.571
0.341 0.101 0.081
0.435 0.577 0.731
0.437 0.939 0.658
0.496 0.731 0.190
0.504 0.269 0.810
0.563 0.061 0.342
0.565 0.423 0.269
0.659 0.899 0.919
0.683 0.734 0.429
0.724 0.433 0.515
0.778 0.578 0.988
0.861 0.267 0.051
0.893 0.899 0.132
0.908 0.062 0.627
0.937 0.571 0.222
0.950 0.737 0.702
```

Values from the calculation:
**SG**: No. 2


This record from the Materials Project database describes an optimized crystal structure of LuSi3Ni5. The functional is PBE-GGA.

Cell and atoms, written as POSCAR:
```
LuSi3Ni5
1.0
18.491 0.000 0.000
0.000 3.729 0.000
0.000 0.000 6.659
Lu Si Ni
4 12 20
Direct
0.144 0.250 0.123
0.356 0.750 0.623
0.644 0.250 0.377
0.856 0.750 0.877
0.076 0.750 0.849
0.085 0.750 0.410
0.238 0.250 0.622
0.262 0.750 0.122
0.415 0.250 0.910
0.424 0.250 0.349
0.576 0.750 0.651
0.585 0.750 0.090
0.738 0.250 0.878
0.762 0.750 0.378
0.915 0.250 0.590
0.924 0.250 0.151
0.005 0.750 0.131
0.014 0.250 0.381
0.114 0.250 0.642
0.200 0.750 0.818
0.206 0.750 0.430
0.294 0.250 0.930
0.300 0.250 0.318
0.386 0.750 0.142
0.486 0.750 0.881
0.495 0.250 0.631
0.505 0.750 0.369
0.514 0.250 0.119
0.614 0.250 0.858
0.700 0.750 0.682
0.706 0.750 0.070
0.794 0.250 0.570
0.800 0.250 0.182
0.886 0.750 0.358
0.986 0.750 0.619
0.995 0.250 0.869
```

Values from the calculation:
**SG**: No. 62


This record from the Materials Project database describes an optimized crystal structure of RbSrCl3. The functional is PBE-GGA.

Cell and atoms, written as POSCAR:
```
RbSrCl3
1.0
7.828 0.000 0.000
0.000 7.828 0.000
0.000 0.000 5.759
Rb Sr Cl
2 2 6
Direct
0.000 0.500 0.000
0.500 0.000 0.000
0.000 0.000 0.500
0.500 0.500 0.500
0.000 0.000 0.000
0.174 0.326 0.500
0.326 0.826 0.500
0.500 0.500 0.000
0.674 0.174 0.500
0.826 0.674 0.500
```

Values from the calculation:
**SG**: No. 127


This record from the Materials Project database describes an optimized crystal structure of Na24Ta2Zn10Si9S9O72. The functional is PBE-GGA.

Cell and atoms, written as POSCAR:
```
Na24Ta2Zn10Si9S9O72
1.0
9.197 0.000 0.000
4.578 8.000 0.000
0.272 -0.069 22.091
Na Ta Zn Si S O
24 2 10 9 9 72
Direct
0.000 0.000 0.000
0.002 0.358 0.747
0.049 0.028 0.349
0.052 0.642 0.838
0.300 0.385 0.354
0.304 0.018 0.843
0.333 0.320 0.662
0.335 0.057 0.173
0.336 0.688 0.918
0.346 0.688 0.425
0.365 0.339 0.006
0.376 0.002 0.507
0.666 0.725 0.012
0.671 0.330 0.508
0.678 0.392 0.832
0.684 0.018 0.587
0.685 0.002 0.093
0.688 0.634 0.347
0.728 0.318 0.182
0.738 0.664 0.665
0.958 0.687 0.168
0.963 0.068 0.659
0.987 0.718 0.509
0.999 0.352 0.256
0.335 0.703 0.075
0.342 0.675 0.572
0.007 0.352 0.440
0.011 0.355 0.107
0.041 0.345 0.926
0.345 0.707 0.264
0.347 0.662 0.752
0.680 0.021 0.449
0.682 0.001 0.944
0.692 0.997 0.236
0.694 0.022 0.733
0.999 0.364 0.600
0.015 0.650 0.009
0.017 0.051 0.509
0.040 0.991 0.180
0.044 0.685 0.681
0.307 0.349 0.510
0.310 0.056 0.009
0.645 0.387 0.678
0.645 0.678 0.179
0.708 0.654 0.508
0.347 0.397 0.177
0.349 0.971 0.679
0.387 0.018 0.339
0.388 0.305 0.844
0.672 0.311 0.338
0.677 0.721 0.843
0.707 0.358 0.008
0.970 0.026 0.844
0.981 0.717 0.339
0.027 0.172 0.171
0.036 0.515 0.674
0.056 0.539 0.946
0.064 0.121 0.448
0.140 0.675 0.744
0.141 0.877 0.844
0.149 0.906 0.240
0.154 0.696 0.338
0.155 0.859 0.121
0.160 0.703 0.625
0.189 0.399 0.450
0.189 0.864 0.520
0.191 0.118 0.949
0.194 0.659 0.018
0.196 0.379 0.174
0.199 0.140 0.676
0.217 0.168 0.337
0.217 0.320 0.845
0.221 0.173 0.068
0.225 0.312 0.568
0.323 0.524 0.519
0.332 0.494 0.231
0.332 0.892 0.736
0.336 0.859 0.017
0.356 0.490 0.121
0.360 0.868 0.625
0.369 0.476 0.844
0.372 0.862 0.341
0.476 0.023 0.282
0.477 0.208 0.789
0.481 0.014 0.393
0.481 0.221 0.900
0.500 0.026 0.004
0.500 0.200 0.503
0.501 0.233 0.174
0.505 0.982 0.679
0.514 0.506 0.623
0.516 0.480 0.341
0.517 0.690 0.121
0.519 0.671 0.519
0.520 0.709 0.843
0.534 0.513 0.014
0.569 0.641 0.239
0.571 0.497 0.740
0.637 0.213 0.676
0.641 0.858 0.174
0.668 0.813 0.900
0.669 0.220 0.393
0.672 0.844 0.500
0.678 0.218 0.282
0.680 0.213 0.002
0.690 0.810 0.789
0.778 0.530 0.449
0.786 0.386 0.954
0.805 0.334 0.063
0.824 0.330 0.336
0.827 0.549 0.844
0.828 0.578 0.566
0.832 0.519 0.170
0.833 0.358 0.671
0.859 0.999 0.175
0.860 0.856 0.675
0.861 0.014 0.503
0.861 0.845 0.004
0.874 0.034 0.789
0.883 0.014 0.900
0.888 0.801 0.282
0.893 0.819 0.393
0.976 0.567 0.066
0.979 0.172 0.566
0.981 0.183 0.845
0.994 0.550 0.340
```

Values from the calculation:
**SG**: No. 1


This record from the Materials Project database describes an optimized crystal structure of HfMg6CuO8. The functional is PBE-GGA.

Cell and atoms, written as POSCAR:
```
HfMg6CuO8
1.0
4.308 0.000 0.000
0.000 4.308 0.000
0.000 0.000 9.093
Hf Mg Cu O
1 6 1 8
Direct
0.000 0.000 0.000
0.000 0.500 0.272
0.000 0.500 0.728
0.500 0.000 0.272
0.500 0.000 0.728
0.500 0.500 0.000
0.500 0.500 0.500
0.000 0.000 0.500
0.000 0.000 0.227
0.000 0.000 0.773
0.000 0.500 0.000
0.000 0.500 0.500
0.500 0.000 0.000
0.500 0.000 0.500
0.500 0.500 0.252
0.500 0.500 0.748
```

Values from the calculation:
**SG**: No. 123
**E above lowest polymorph**: 16 meV/atom


This record from the Materials Project database describes an optimized crystal structure of Sr2ZnIn. The functional is PBE-GGA.

Cell and atoms, written as POSCAR:
```
Sr2ZnIn
1.0
0.000 4.010 4.010
4.010 0.000 4.010
4.010 4.010 0.000
Sr Zn In
2 1 1
Direct
0.250 0.250 0.250
0.750 0.750 0.750
0.000 0.000 0.000
0.500 0.500 0.500
```

Values from the calculation:
**SG**: No. 225


This record from the Materials Project database describes an optimized crystal structure of Na12Mg4Ta2Si6S3O36. The functional is PBE-GGA.

Cell and atoms, written as POSCAR:
```
Na12Mg4Ta2Si6S3O36
1.0
7.916 -4.571 0.000
7.916 4.571 0.000
-0.047 0.000 22.174
Na Mg Ta Si S O
24 8 4 12 6 72
Direct
0.106 0.493 0.996
0.134 0.866 0.500
0.137 0.800 0.821
0.138 0.179 0.078
0.140 0.539 0.321
0.173 0.818 0.164
0.179 0.138 0.578
0.202 0.473 0.667
0.464 0.824 0.653
0.473 0.202 0.167
0.480 0.492 0.738
0.492 0.480 0.238
0.493 0.106 0.496
0.502 0.857 0.991
0.533 0.813 0.329
0.539 0.140 0.821
0.800 0.137 0.321
0.813 0.533 0.829
0.818 0.173 0.664
0.818 0.828 0.406
0.824 0.464 0.153
0.828 0.818 0.906
0.857 0.502 0.491
0.866 0.134 0.000
0.151 0.171 0.927
0.171 0.151 0.427
0.482 0.504 0.599
0.504 0.482 0.099
0.812 0.841 0.567
0.827 0.838 0.764
0.838 0.827 0.264
0.841 0.812 0.067
0.151 0.168 0.230
0.168 0.151 0.730
0.495 0.502 0.388
0.502 0.495 0.888
0.119 0.827 0.662
0.126 0.529 0.163
0.156 0.872 0.333
0.158 0.456 0.833
0.455 0.870 0.835
0.456 0.158 0.333
0.496 0.791 0.500
0.529 0.126 0.663
0.791 0.496 0.000
0.827 0.119 0.162
0.870 0.455 0.335
0.872 0.156 0.833
0.204 0.493 0.496
0.206 0.782 0.997
0.493 0.204 0.996
0.530 0.831 0.163
0.782 0.206 0.497
0.831 0.530 0.663
0.002 0.836 0.325
0.004 0.866 0.601
0.008 0.133 0.171
0.008 0.594 0.102
0.036 0.797 0.721
0.036 0.799 0.997
0.037 0.650 0.498
0.040 0.639 0.222
0.128 0.981 0.392
0.131 0.375 0.892
0.133 0.008 0.671
0.151 0.330 0.171
0.181 0.343 0.492
0.193 0.327 0.774
0.194 0.950 0.992
0.199 0.958 0.273
0.294 0.509 0.441
0.294 0.673 0.941
0.307 0.469 0.550
0.307 0.697 0.051
0.313 0.671 0.660
0.314 0.506 0.156
0.325 0.976 0.495
0.326 0.961 0.775
0.327 0.193 0.274
0.330 0.151 0.671
0.335 0.679 0.336
0.336 0.466 0.838
0.343 0.181 0.992
0.357 0.990 0.168
0.371 0.981 0.894
0.375 0.131 0.392
0.458 0.683 0.837
0.466 0.336 0.338
0.469 0.307 0.050
0.474 0.693 0.556
0.502 0.686 0.156
0.506 0.314 0.656
0.509 0.294 0.941
0.512 0.661 0.439
0.594 0.008 0.602
0.606 0.859 0.108
0.632 0.805 0.217
0.639 0.040 0.722
0.641 0.998 0.323
0.644 0.830 0.823
0.650 0.037 0.998
0.661 0.512 0.939
0.671 0.313 0.160
0.672 0.796 0.496
0.673 0.294 0.441
0.679 0.335 0.836
0.683 0.458 0.337
0.686 0.502 0.656
0.693 0.474 0.056
0.697 0.307 0.551
0.796 0.672 0.996
0.797 0.036 0.221
0.799 0.036 0.497
0.805 0.632 0.717
0.830 0.644 0.323
0.836 0.002 0.825
0.859 0.606 0.608
0.866 0.004 0.101
0.950 0.194 0.492
0.958 0.199 0.773
0.961 0.326 0.275
0.976 0.325 0.995
0.981 0.128 0.892
0.981 0.371 0.394
0.990 0.357 0.668
0.998 0.641 0.823
```

Values from the calculation:
**SG**: No. 9


Record order is preserved below.
E_form: -2.0317; -0.7178; -2.6320; -2.3307; -2.7109; -0.3117; -2.6750 eV/atom